## UH24C8N2Cl4O2 (PBE)

Data for UH24C8N2Cl4O2 after structural relaxation.

a = 9.334 Å, b = 9.334 Å, c = 12.243 Å
α = 90.00°, β = 90.00°, γ = 90.00°
Element x y z (fractional)
U 0.000 0.000 0.000
U 0.500 0.500 0.500
H 0.028 0.344 0.374
H 0.028 0.344 0.626
H 0.072 0.354 0.129
H 0.072 0.354 0.871
H 0.098 0.703 0.269
H 0.098 0.703 0.731
H 0.146 0.572 0.371
H 0.146 0.572 0.629
H 0.156 0.528 0.126
H 0.156 0.528 0.874
H 0.203 0.402 0.231
H 0.203 0.402 0.769
H 0.297 0.902 0.269
H 0.297 0.902 0.731
H 0.344 0.028 0.374
H 0.344 0.028 0.626
H 0.354 0.072 0.129
H 0.354 0.072 0.871
H 0.402 0.203 0.231
H 0.402 0.203 0.769
H 0.428 0.854 0.371
H 0.428 0.854 0.629
H 0.472 0.844 0.126
H 0.472 0.844 0.874
H 0.528 0.156 0.126
H 0.528 0.156 0.874
H 0.572 0.146 0.371
H 0.572 0.146 0.629
H 0.598 0.797 0.231
H 0.598 0.797 0.769
H 0.646 0.928 0.129
H 0.646 0.928 0.871
H 0.656 0.972 0.374
H 0.656 0.972 0.626
H 0.703 0.098 0.269
H 0.703 0.098 0.731
H 0.797 0.598 0.231
H 0.797 0.598 0.769
H 0.844 0.472 0.126
H 0.844 0.472 0.874
H 0.854 0.428 0.371
H 0.854 0.428 0.629
H 0.902 0.297 0.269
H 0.902 0.297 0.731
H 0.928 0.646 0.129
H 0.928 0.646 0.871
H 0.972 0.656 0.374
H 0.972 0.656 0.626
C 0.059 0.617 0.321
C 0.059 0.617 0.679
C 0.117 0.441 0.179
C 0.117 0.441 0.821
C 0.383 0.941 0.321
C 0.383 0.941 0.679
C 0.441 0.117 0.179
C 0.441 0.117 0.821
C 0.559 0.883 0.179
C 0.559 0.883 0.821
C 0.617 0.059 0.321
C 0.617 0.059 0.679
C 0.883 0.559 0.179
C 0.883 0.559 0.821
C 0.941 0.383 0.321
C 0.941 0.383 0.679
N 0.000 0.500 0.250
N 0.000 0.500 0.750
N 0.500 0.000 0.250
N 0.500 0.000 0.750
Cl 0.000 0.000 0.217
Cl 0.000 0.000 0.783
Cl 0.204 0.796 0.000
Cl 0.296 0.296 0.500
Cl 0.500 0.500 0.283
Cl 0.500 0.500 0.717
Cl 0.704 0.704 0.500
Cl 0.796 0.204 0.000
O 0.138 0.138 0.000
O 0.362 0.638 0.500
O 0.638 0.362 0.500
O 0.862 0.862 0.000

The total magnetization comes out at 0.08 Bohr magnetons per cell. Its space group is P4_2/mnm (136).


## ZnH8C2N4Cl2O2 (PBE)

Data for ZnH8C2N4Cl2O2 after structural relaxation.

a = 6.395 Å, b = 6.960 Å, c = 11.977 Å
α = 88.61°, β = 76.08°, γ = 66.50°
Element x y z (fractional)
Zn 0.023 0.163 0.251
Zn 0.977 0.837 0.749
H 0.167 0.377 0.719
H 0.189 0.447 0.928
H 0.232 0.746 0.423
H 0.265 0.484 0.407
H 0.333 0.847 0.952
H 0.432 0.181 0.643
H 0.489 0.170 0.186
H 0.499 0.327 0.905
H 0.501 0.673 0.095
H 0.511 0.830 0.814
H 0.568 0.819 0.357
H 0.667 0.153 0.048
H 0.735 0.516 0.593
H 0.768 0.254 0.577
H 0.811 0.553 0.072
H 0.833 0.623 0.281
C 0.309 0.304 0.065
C 0.434 0.475 0.657
C 0.566 0.525 0.343
C 0.691 0.696 0.935
N 0.332 0.336 0.667
N 0.335 0.370 0.959
N 0.336 0.592 0.396
N 0.497 0.813 0.900
N 0.503 0.187 0.100
N 0.664 0.408 0.604
N 0.665 0.630 0.041
N 0.668 0.664 0.333
Cl 0.076 0.865 0.159
Cl 0.207 0.140 0.393
Cl 0.793 0.860 0.607
Cl 0.924 0.135 0.841
O 0.101 0.354 0.131
O 0.320 0.668 0.694
O 0.680 0.332 0.306
O 0.899 0.646 0.869

The total magnetization comes out at 0.00 Bohr magnetons per cell. Its space group is P-1 (2).


| no. | energy (eV/atom) |
| --- | --- |
| 1 | -5.40 |
| 2 | -5.58 |